A plane-wave DFT calculation with PBE+U was carried out for crystalline Sr3Ca5Mn8O24 at its relaxed geometry.

## Properties
As for the energy relative to the elements: -2.458 eV/atom.

Structure (POSCAR):
```
Sr3Ca5Mn8O24
1.0
10.7908 0.0000 0.0000
0.0081 10.8923 0.0000
0.0027 0.0022 15.3064
Sr Ca Mn O
12 20 32 96
direct
0.0032 0.4823 0.1245 Sr
0.0043 0.4821 0.6255 Sr
0.2469 0.7348 0.6253 Sr
0.2475 0.7340 0.1247 Sr
0.2532 0.2652 0.3748 Sr
0.4958 0.5179 0.3745 Sr
0.5042 0.4821 0.6255 Sr
0.7468 0.7348 0.6252 Sr
0.7525 0.2660 0.8753 Sr
0.7531 0.2652 0.3747 Sr
0.9957 0.5179 0.3745 Sr
0.9968 0.5177 0.8755 Sr
0.0031 0.9796 0.1250 Ca
0.0035 0.9800 0.6250 Ca
0.2456 0.2271 0.6253 Ca
0.2462 0.2277 0.1247 Ca
0.2541 0.7728 0.3748 Ca
0.2544 0.7733 0.8752 Ca
0.2553 0.2719 0.8751 Ca
0.4945 0.5237 0.8753 Ca
0.4952 0.0217 0.8750 Ca
0.4962 0.0202 0.3750 Ca
0.5038 0.9798 0.6250 Ca
0.5048 0.9783 0.1250 Ca
0.5055 0.4763 0.1247 Ca
0.7447 0.7281 0.1249 Ca
0.7456 0.2267 0.1248 Ca
0.7459 0.2272 0.6252 Ca
0.7538 0.7723 0.8753 Ca
0.7544 0.7729 0.3747 Ca
0.9965 0.0200 0.3750 Ca
0.9969 0.0204 0.8750 Ca
0.0010 0.2471 0.0008 Mn
0.0011 0.2470 0.7494 Mn
0.0008 0.7528 0.4984 Mn
0.0009 0.7528 0.7518 Mn
0.2503 0.9998 0.2496 Mn
0.2501 0.0001 0.5002 Mn
0.2498 0.0014 0.9994 Mn
0.2496 0.0016 0.7510 Mn
0.2501 0.4999 0.5000 Mn
0.2512 0.4994 0.7514 Mn
0.2516 0.5003 0.2492 Mn
0.2531 0.4997 0.9994 Mn
0.4985 0.2489 0.7503 Mn
0.4985 0.2496 0.0002 Mn
0.4990 0.2474 0.5018 Mn
0.4989 0.2480 0.2477 Mn
0.5011 0.7520 0.7523 Mn
0.5010 0.7526 0.4982 Mn
0.5015 0.7504 0.9998 Mn
0.5015 0.7511 0.2497 Mn
0.7469 0.5003 0.0006 Mn
0.7484 0.4997 0.7508 Mn
0.7488 0.5006 0.2486 Mn
0.7499 0.9999 0.4998 Mn
0.7497 0.0002 0.7504 Mn
0.7499 0.5001 0.5000 Mn
0.7504 0.9984 0.2490 Mn
0.7502 0.9986 0.0006 Mn
0.9991 0.2472 0.2482 Mn
0.9992 0.2472 0.5016 Mn
0.9989 0.7530 0.2506 Mn
0.9990 0.7529 0.9992 Mn
0.0272 0.2391 0.3750 O
0.0370 0.2394 0.8750 O
0.0382 0.7483 0.8753 O
0.0380 0.7485 0.3747 O
0.1047 0.1042 0.0206 O
0.1047 0.1042 0.7294 O
0.1054 0.1051 0.2301 O
0.1055 0.1051 0.5199 O
0.1078 0.6092 0.2346 O
0.1076 0.6091 0.5143 O
0.1084 0.6089 0.7363 O
0.1086 0.6090 0.0147 O
0.1418 0.8604 0.0163 O
0.1417 0.8605 0.2336 O
0.1425 0.8608 0.5156 O
0.1426 0.8608 0.7346 O
0.1446 0.3530 0.5186 O
0.1452 0.3536 0.2310 O
0.1474 0.3516 0.7331 O
0.1480 0.3522 0.0173 O
0.2120 0.9911 0.8752 O
0.2128 0.9928 0.3749 O
0.2208 0.4879 0.8752 O
0.2222 0.4953 0.3748 O
0.2785 0.5036 0.6258 O
0.2883 0.0083 0.1243 O
0.2878 0.0080 0.6257 O
0.2883 0.5037 0.1241 O
0.3523 0.1449 0.7701 O
0.3525 0.1455 0.9804 O
0.3551 0.6475 0.2690 O
0.3564 0.6450 0.9784 O
0.3555 0.6470 0.4815 O
0.3568 0.6445 0.7710 O
0.3576 0.1392 0.4845 O
0.3578 0.1398 0.2649 O
0.3926 0.3909 0.4856 O
0.3944 0.3927 0.2628 O
0.3945 0.8948 0.4802 O
0.3949 0.8951 0.7702 O
0.3963 0.3940 0.7710 O
0.3956 0.8948 0.2695 O
0.3960 0.8951 0.9802 O
0.3982 0.3957 0.9804 O
0.4605 0.2516 0.6262 O
0.4609 0.2591 0.1237 O
0.4706 0.7617 0.1247 O
0.4730 0.7605 0.6253 O
0.5270 0.2395 0.3747 O
0.5294 0.2383 0.8753 O
0.5391 0.7409 0.8763 O
0.5395 0.7484 0.3738 O
0.6018 0.6043 0.0196 O
0.6040 0.1049 0.0198 O
0.6044 0.1052 0.7305 O
0.6037 0.6060 0.2290 O
0.6051 0.1049 0.2298 O
0.6055 0.1052 0.5198 O
0.6056 0.6073 0.7372 O
0.6074 0.6091 0.5144 O
0.6422 0.8602 0.7351 O
0.6424 0.8608 0.5155 O
0.6432 0.3555 0.2290 O
0.6445 0.3530 0.5185 O
0.6436 0.3550 0.0216 O
0.6449 0.3525 0.7310 O
0.6475 0.8545 0.0196 O
0.6477 0.8551 0.2299 O
0.7117 0.4963 0.8759 O
0.7122 0.9920 0.3743 O
0.7117 0.9917 0.8757 O
0.7215 0.4964 0.3742 O
0.7778 0.5047 0.6252 O
0.7792 0.5121 0.1248 O
0.7872 0.0072 0.6251 O
0.7880 0.0089 0.1248 O
0.8520 0.6478 0.9827 O
0.8526 0.6484 0.2669 O
0.8548 0.6464 0.7690 O
0.8554 0.6470 0.4814 O
0.8574 0.1392 0.2654 O
0.8575 0.1392 0.4844 O
0.8583 0.1395 0.7664 O
0.8582 0.1396 0.9837 O
0.8914 0.3910 0.9853 O
0.8916 0.3911 0.2637 O
0.8924 0.3909 0.4857 O
0.8922 0.3908 0.7654 O
0.8945 0.8949 0.4801 O
0.8946 0.8949 0.7699 O
0.8953 0.8958 0.2706 O
0.8953 0.8958 0.9794 O
0.9620 0.2515 0.6253 O
0.9618 0.2517 0.1247 O
0.9630 0.7606 0.1250 O
0.9728 0.7609 0.6250 O
```

---

A plane-wave DFT calculation with PBE+U was carried out for crystalline Sr3Ca5Mn8O22 at its relaxed geometry.

## Properties
As for the energy relative to the elements: -2.492 eV/atom.

Structure (POSCAR):
```
Sr3Ca5Mn8O22
1.0
10.9031 0.0000 0.0000
0.1644 10.9306 0.0000
0.0062 0.0964 15.7063
Sr Ca Mn O
12 20 32 88
direct
0.0000 0.0000 0.0000 Sr
0.0011 0.0000 0.5251 Sr
0.0038 0.5010 0.2723 Sr
0.2471 0.7399 0.9990 Sr
0.2546 0.7318 0.2730 Sr
0.4995 0.9989 0.0003 Sr
0.5035 0.5010 0.2726 Sr
0.5045 0.5083 0.7610 Sr
0.7458 0.7403 0.9986 Sr
0.7478 0.7618 0.7592 Sr
0.7501 0.7343 0.5166 Sr
0.7575 0.7329 0.2742 Sr
0.0034 0.4657 0.0004 Ca
0.0037 0.0218 0.7627 Ca
0.0062 0.5152 0.7610 Ca
0.0160 0.0409 0.2611 Ca
0.2428 0.7705 0.7593 Ca
0.2474 0.2690 0.7623 Ca
0.2504 0.2474 0.9945 Ca
0.2495 0.2786 0.2708 Ca
0.2507 0.2463 0.5281 Ca
0.2521 0.7235 0.5177 Ca
0.4956 0.4726 0.5166 Ca
0.5000 0.9964 0.5320 Ca
0.5049 0.0200 0.7628 Ca
0.5063 0.4662 0.9998 Ca
0.5163 0.0396 0.2609 Ca
0.7473 0.2507 0.5286 Ca
0.7475 0.2484 0.9938 Ca
0.7495 0.2642 0.7621 Ca
0.7521 0.2779 0.2711 Ca
0.9931 0.4746 0.5166 Ca
0.0004 0.2502 0.8828 Mn
0.0000 0.7497 0.8809 Mn
0.0011 0.2529 0.6409 Mn
0.0021 0.7512 0.6373 Mn
0.0056 0.2485 0.3897 Mn
0.0380 0.7634 0.1471 Mn
0.2425 0.4858 0.1317 Mn
0.2436 0.0277 0.1293 Mn
0.2482 0.4915 0.3979 Mn
0.2500 0.0012 0.6425 Mn
0.2498 0.5022 0.6394 Mn
0.2519 0.0004 0.8809 Mn
0.2525 0.5020 0.8848 Mn
0.2704 0.0114 0.4047 Mn
0.4885 0.7441 0.3937 Mn
0.4942 0.7508 0.6359 Mn
0.4955 0.2521 0.1377 Mn
0.4964 0.7489 0.8800 Mn
0.4999 0.2483 0.8834 Mn
0.5007 0.2493 0.6403 Mn
0.5055 0.2445 0.3903 Mn
0.5379 0.7640 0.1489 Mn
0.7424 0.4858 0.1330 Mn
0.7441 0.0285 0.1298 Mn
0.7479 0.4929 0.3962 Mn
0.7487 0.0022 0.6420 Mn
0.7515 0.0004 0.8816 Mn
0.7522 0.5007 0.6389 Mn
0.7558 0.5002 0.8855 Mn
0.7664 0.0148 0.4038 Mn
0.9946 0.7423 0.3936 Mn
0.9965 0.2530 0.1370 Mn
0.0002 0.7695 0.0331 O
0.0344 0.2424 0.0120 O
0.0361 0.2481 0.5145 O
0.0381 0.7736 0.5081 O
0.0862 0.3997 0.1439 O
0.1076 0.8984 0.6599 O
0.1094 0.3922 0.8721 O
0.1092 0.3935 0.6574 O
0.1109 0.8929 0.8705 O
0.1146 0.3806 0.3748 O
0.1353 0.6379 0.3799 O
0.1424 0.1420 0.8668 O
0.1416 0.9058 0.1754 O
0.1429 0.1444 0.6607 O
0.1474 0.6461 0.8707 O
0.1481 0.1561 0.1706 O
0.1507 0.6494 0.6509 O
0.1555 0.1238 0.3601 O
0.1701 0.6484 0.1417 O
0.2102 0.4980 0.5181 O
0.2198 0.5027 0.0086 O
0.2243 0.0208 0.5194 O
0.2344 0.0011 0.0090 O
0.2761 0.4946 0.2557 O
0.2782 0.4929 0.7631 O
0.2900 0.9900 0.7610 O
0.3365 0.8533 0.3950 O
0.3511 0.3485 0.1112 O
0.3524 0.8585 0.6165 O
0.3577 0.3460 0.4104 O
0.3610 0.8612 0.8968 O
0.3628 0.3624 0.6212 O
0.3645 0.3621 0.9035 O
0.3822 0.5991 0.4078 O
0.3860 0.1159 0.8970 O
0.3908 0.1118 0.6259 O
0.3934 0.6083 0.6119 O
0.3949 0.6070 0.9079 O
0.4031 0.0852 0.1376 O
0.4228 0.0876 0.3942 O
0.4628 0.2519 0.2636 O
0.4632 0.7416 0.7556 O
0.4666 0.2496 0.7623 O
0.4802 0.7546 0.2625 O
0.4978 0.7699 0.0357 O
0.5269 0.7828 0.5067 O
0.5315 0.2409 0.0134 O
0.5343 0.2452 0.5142 O
0.5862 0.3987 0.1445 O
0.6035 0.8978 0.6558 O
0.6104 0.8907 0.8726 O
0.6132 0.3800 0.3750 O
0.6165 0.3850 0.8778 O
0.6168 0.3847 0.6528 O
0.6325 0.6406 0.3797 O
0.6407 0.1394 0.8677 O
0.6408 0.1418 0.6613 O
0.6409 0.6414 0.6482 O
0.6414 0.6405 0.8748 O
0.6439 0.9055 0.1765 O
0.6478 0.1558 0.1710 O
0.6544 0.1275 0.3583 O
0.6689 0.6484 0.1437 O
0.7137 0.0131 0.5175 O
0.7141 0.4943 0.5159 O
0.7246 0.5048 0.0107 O
0.7348 0.0005 0.0097 O
0.7754 0.4944 0.2570 O
0.7851 0.4942 0.7635 O
0.7877 0.9966 0.7610 O
0.8497 0.8622 0.3917 O
0.8510 0.3477 0.1117 O
0.8584 0.3498 0.4096 O
0.8598 0.8632 0.6215 O
0.8633 0.8621 0.8962 O
0.8654 0.3615 0.9052 O
0.8650 0.3638 0.6194 O
0.8820 0.6015 0.4048 O
0.8839 0.1183 0.6246 O
0.8855 0.1172 0.8976 O
0.8974 0.6080 0.9058 O
0.8979 0.6086 0.6172 O
0.9037 0.0864 0.1375 O
0.9141 0.0991 0.3888 O
0.9657 0.2474 0.7625 O
0.9664 0.2555 0.2622 O
0.9763 0.7361 0.7572 O
0.9837 0.7498 0.2614 O
```

---

A plane-wave DFT calculation with PBE+U was carried out for crystalline SrCa7Mn8O24 at its relaxed geometry.

## Properties
As for the energy relative to the elements: -2.421 eV/atom.

Structure (POSCAR):
```
SrCa7Mn8O24
1.0
7.6189 0.0000 0.0000
0.0000 7.6189 0.0000
0.0000 0.0000 7.6189
Sr Ca Mn O
1 7 8 24
direct
0.0000 0.0000 0.0000 Sr
0.0000 0.0000 0.5000 Ca
0.0000 0.5000 0.0000 Ca
0.0000 0.5000 0.5000 Ca
0.5000 0.0000 0.0000 Ca
0.5000 0.0000 0.5000 Ca
0.5000 0.5000 0.0000 Ca
0.5000 0.5000 0.5000 Ca
0.2504 0.2504 0.2504 Mn
0.2504 0.2504 0.7496 Mn
0.2504 0.7496 0.2504 Mn
0.2504 0.7496 0.7496 Mn
0.7496 0.2504 0.2504 Mn
0.7496 0.2504 0.7496 Mn
0.7496 0.7496 0.2504 Mn
0.7496 0.7496 0.7496 Mn
0.0000 0.2517 0.2517 O
0.0000 0.2517 0.7483 O
0.0000 0.7483 0.2517 O
0.0000 0.7483 0.7483 O
0.2501 0.2501 0.5000 O
0.2501 0.5000 0.2501 O
0.2501 0.5000 0.7499 O
0.2501 0.7499 0.5000 O
0.2517 0.0000 0.2517 O
0.2517 0.0000 0.7483 O
0.2517 0.2517 0.0000 O
0.2517 0.7483 0.0000 O
0.5000 0.2501 0.2501 O
0.5000 0.2501 0.7499 O
0.5000 0.7499 0.2501 O
0.5000 0.7499 0.7499 O
0.7483 0.0000 0.2517 O
0.7483 0.0000 0.7483 O
0.7483 0.2517 0.0000 O
0.7483 0.7483 0.0000 O
0.7499 0.2501 0.5000 O
0.7499 0.5000 0.2501 O
0.7499 0.5000 0.7499 O
0.7499 0.7499 0.5000 O
```

---

A plane-wave DFT calculation with PBE+U was carried out for crystalline SrCa7Ti3Mn5O23 at its relaxed geometry.

## Properties
As for the energy relative to the elements: -2.861 eV/atom.

Structure (POSCAR):
```
SrCa7Ti3Mn5O23
1.0
7.7065 0.0000 0.0000
-0.0030 7.7328 0.0000
-0.0036 -0.0063 7.7404
Sr Ca Ti Mn O
1 7 3 5 23
direct
0.0000 0.0000 0.0000 Sr
0.5286 0.0064 0.0019 Ca
0.5291 0.4822 0.0021 Ca
0.5360 0.0108 0.4957 Ca
0.5374 0.4754 0.4954 Ca
0.9810 0.0117 0.4962 Ca
0.9820 0.4758 0.4956 Ca
0.9880 0.4817 0.0019 Ca
0.2611 0.2461 0.7541 Ti
0.2607 0.7415 0.2639 Ti
0.2609 0.7426 0.7354 Ti
0.2603 0.2441 0.2459 Mn
0.7591 0.2433 0.2479 Mn
0.7592 0.2435 0.7496 Mn
0.7586 0.7423 0.2451 Mn
0.7585 0.7422 0.7529 Mn
0.0078 0.2448 0.7433 O
0.0099 0.2465 0.2571 O
0.0142 0.7405 0.7674 O
0.0148 0.7402 0.2293 O
0.2602 0.5001 0.7822 O
0.2611 0.2418 0.0023 O
0.2612 0.2450 0.4995 O
0.2606 0.4976 0.2258 O
0.2623 0.7402 0.4991 O
0.2619 0.9850 0.7776 O
0.2620 0.9877 0.2303 O
0.5043 0.7418 0.2249 O
0.5050 0.7415 0.7712 O
0.5092 0.2442 0.2538 O
0.5112 0.2440 0.7452 O
0.7557 0.2466 0.9985 O
0.7557 0.9926 0.2574 O
0.7556 0.9934 0.7413 O
0.7585 0.2443 0.4995 O
0.7584 0.4930 0.2542 O
0.7578 0.7405 0.4986 O
0.7586 0.4922 0.7445 O
0.7588 0.7385 0.9993 O
```

---

Number 1: magnetization 24.00 μB per formula unit, density 4.8 g/cm³. Number 2: magnetization 28.00 μB per formula unit, density 4.5 g/cm³. Number 3: magnetization 24.45 μB per formula unit, density 4.5 g/cm³. Number 4: magnetization 17.00 μB per formula unit, density 4.2 g/cm³.